[1]
This record from Materials Project describes a geometry-optimized Na3V5H26O27 structure. The functional is PBE+U.

Output
corrected total energy (MP2020 scheme): -6.0948 eV per atom
total magnetic moment: 0.000 μB/atom
energy of formation from the pure elements: -1649 meV per atom
space group: P-1 (2)

```
122
Lattice="9.713 0.000 0.000 -2.064 11.647 0.000 -4.840 -1.326 10.931" Properties=species:S:1:pos:R:3 pbc="T T T"
Na -2.585 4.545 4.043
Na -2.419 -0.988 9.912
Na 2.284 3.381 0.444
Na 0.526 6.939 10.488
Na 5.228 11.308 1.020
Na 5.395 5.776 6.888
V -1.183 8.137 4.115
V -1.272 10.977 5.438
V 0.423 10.508 2.745
V 0.853 2.176 6.763
V 2.459 1.704 4.072
V 0.350 8.617 6.860
V 1.956 8.145 4.168
V 2.386 -0.188 8.186
V 4.081 -0.657 5.493
V 3.993 2.184 6.816
H -2.101 9.653 1.079
H -1.390 1.667 2.691
H -3.183 0.374 7.322
H 0.043 1.584 0.447
H -0.431 4.472 0.421
H -3.724 8.628 6.192
H -1.672 1.792 5.077
H -0.130 0.759 2.615
H -3.327 3.284 8.759
H 0.201 6.472 0.677
H 0.092 4.611 1.907
H -1.621 0.323 7.289
H -3.796 6.372 9.859
H -0.029 7.977 1.147
H -2.300 2.143 8.705
H -1.526 4.559 6.721
H -1.587 6.082 6.284
H -2.985 8.247 8.906
H 0.094 5.430 3.827
H -2.443 6.084 9.079
H 0.269 3.857 4.098
H -2.152 9.526 8.446
H -1.326 4.280 9.555
H -0.179 0.839 9.804
H -1.798 8.707 10.577
H 2.846 5.444 1.966
H -0.037 4.877 8.965
H 4.608 1.614 0.354
H 2.989 9.482 1.128
H 4.135 6.041 1.376
H 4.962 0.795 2.486
H 2.541 6.464 6.834
H 5.252 4.236 1.853
H 2.716 4.891 7.104
H 5.794 2.074 2.025
H 4.396 4.239 4.647
H 4.335 5.762 4.210
H 5.110 8.177 2.227
H 2.839 2.344 9.785
H 6.606 3.949 1.072
H 4.431 9.997 3.643
H 2.717 5.709 9.024
H 2.608 3.849 10.255
H 6.137 7.037 2.173
H 2.939 9.561 8.317
H 4.481 8.528 5.855
H 6.533 1.692 4.739
H 3.241 5.848 10.511
H 2.766 8.737 10.484
H 5.993 9.947 3.610
H 4.200 8.653 8.241
H 4.911 0.668 9.853
O -2.357 2.147 4.470
O -0.838 1.163 2.054
O -2.320 7.066 3.612
O -4.212 0.443 10.605
O -2.388 0.400 7.902
O -0.002 7.404 0.353
O 0.342 4.797 0.956
O -2.297 9.699 4.833
O -2.101 5.236 6.300
O -0.930 9.249 2.610
O -3.339 6.487 8.982
O -0.242 4.536 3.576
O -2.533 2.950 9.229
O -0.255 0.600 6.019
O 1.210 0.119 3.723
O 0.434 11.175 1.254
O -2.762 9.187 9.142
O -0.985 7.730 5.948
O 0.399 7.244 3.746
O -0.332 3.219 7.182
O 1.086 2.577 4.930
O 2.469 2.390 2.589
O -0.792 0.649 10.547
O -0.903 10.185 7.173
O 0.384 9.792 4.914
O -0.790 5.117 9.533
O 1.776 9.269 2.663
O 1.033 1.051 8.268
O 3.600 5.204 1.399
O 2.426 0.528 6.017
O 3.713 0.136 3.758
O 3.602 9.672 0.384
O 0.340 7.931 8.342
O 1.723 7.743 6.002
O 3.141 7.101 3.749
O 2.411 3.076 7.186
O 3.794 2.590 4.983
O 5.572 1.133 1.789
O 2.376 -0.854 9.677
O 1.600 10.201 7.208
O 3.065 9.721 4.912
O 5.342 7.371 1.703
O 3.052 5.785 7.355
O 6.149 3.834 1.949
O 3.740 1.072 8.322
O 4.911 5.085 4.631
O 5.107 0.622 6.099
O 2.468 5.524 9.976
O 2.811 2.917 10.579
O 5.197 9.921 3.030
O 7.021 9.878 0.326
O 5.130 3.254 7.319
O 3.648 9.158 8.878
O 5.166 8.173 6.461
```

---

[2]
This record from Materials Project describes a geometry-optimized BaYMnCoO5 structure. The functional is PBE+U.

Output
corrected total energy (MP2020 scheme): -8.0891 eV per atom
total magnetic moment: 0.778 μB/atom
energy of formation from the pure elements: -2601 meV per atom
energy relative to the lowest polymorph listed for this composition: 1 meV per atom
space group: P4/nmm (129)

```
18
Lattice="5.560 0.000 0.000 0.000 5.560 0.000 0.000 0.000 7.786" Properties=species:S:1:pos:R:3 pbc="T T T"
Ba 1.390 4.170 0.000
Ba 4.170 1.390 0.000
Y 1.390 4.170 3.893
Y 4.170 1.390 3.893
Mn 1.390 1.390 2.078
Mn 4.170 4.170 5.709
Co 1.390 1.390 5.719
Co 4.170 4.170 2.067
O 0.022 0.022 2.468
O 0.022 2.758 2.468
O 1.390 1.390 0.020
O 2.758 0.022 2.468
O 2.758 2.758 2.468
O 2.802 2.802 5.318
O 2.802 5.537 5.318
O 4.170 4.170 7.766
O 5.537 2.802 5.318
O 5.537 5.537 5.318
```

---

[3]
This record from Materials Project describes a geometry-optimized LiFeP4O13 structure. The functional is PBE+U.

Output
corrected total energy (MP2020 scheme): -7.3672 eV per atom
total magnetic moment: 0.158 μB/atom
energy of formation from the pure elements: -2296 meV per atom
energy relative to the lowest polymorph listed for this composition: 9 meV per atom
space group: P1 (1)

```
76
Lattice="8.850 0.000 0.000 4.176 9.323 0.000 1.335 2.367 13.608" Properties=species:S:1:pos:R:3 pbc="T T T"
Li 0.000 0.000 0.000
Li 4.094 6.352 6.615
Li 6.644 7.310 6.449
Li 6.622 1.706 6.542
Fe 2.418 1.622 3.076
Fe 4.141 2.708 10.003
Fe 8.918 6.304 3.028
Fe 10.640 7.389 10.059
P 2.527 4.632 4.443
P 4.789 8.374 4.065
P 4.216 5.716 11.402
P 6.161 9.702 10.603
P 4.534 3.985 2.435
P 6.499 7.959 1.680
P 5.937 5.282 9.018
P 8.189 9.032 8.618
P 9.063 9.298 4.467
P 7.107 3.755 4.055
P 10.735 10.390 11.413
P 8.502 5.027 10.599
P 11.084 8.621 2.483
P 8.847 3.265 1.694
P 12.448 9.904 9.037
P 10.539 4.381 8.608
O 1.055 2.161 1.654
O 5.154 10.064 9.380
O 2.003 3.215 4.189
O 5.181 9.835 3.959
O 3.334 4.834 5.708
O 2.767 3.308 8.652
O 5.457 9.028 11.736
O 3.533 4.983 3.194
O 4.999 7.654 5.370
O 3.697 4.297 11.168
O 6.877 11.006 10.942
O 5.639 8.105 0.437
O 5.539 7.533 2.923
O 5.027 5.737 12.707
O 5.189 6.113 10.169
O 3.799 2.697 2.100
O 7.093 9.352 1.975
O 5.731 6.013 7.720
O 5.213 4.695 1.303
O 7.191 8.711 9.881
O 3.795 1.053 4.398
O 7.392 8.814 7.355
O 5.544 3.818 9.098
O 8.724 10.456 8.837
O 5.568 3.620 3.615
O 5.466 2.122 11.407
O 7.572 6.882 1.637
O 7.484 5.428 9.398
O 8.504 7.880 4.273
O 7.502 5.217 3.953
O 9.866 9.511 5.734
O 9.302 7.979 8.707
O 10.062 9.619 3.213
O 7.856 4.276 11.717
O 7.227 3.064 5.362
O 10.225 8.967 11.199
O 9.243 6.308 10.945
O 7.873 2.894 2.931
O 11.549 10.462 12.711
O 8.046 3.193 0.389
O 11.733 10.760 10.194
O 10.338 7.347 2.139
O 9.367 4.683 1.903
O 12.191 10.576 7.737
O 9.528 4.044 9.834
O 11.794 9.349 1.400
O 10.268 5.686 4.381
O 9.726 4.318 7.313
O 12.086 8.430 9.163
O 11.088 5.804 8.819
O 12.087 8.220 3.706
O 11.980 6.779 11.431
```

---

[4]
This record from Materials Project describes a geometry-optimized Li4Ti2Co3Ni3O16 structure. The functional is PBE+U.

Output
corrected total energy (MP2020 scheme): -6.9154 eV per atom
total magnetic moment: 0.250 μB/atom
energy of formation from the pure elements: -1870 meV per atom
space group: Cm (8)

```
28
Lattice="5.102 -2.843 0.000 5.102 2.843 0.000 -0.428 0.000 9.392" Properties=species:S:1:pos:R:3 pbc="T T T"
Li 0.000 0.000 0.000
Li -0.166 0.000 4.714
Li 3.279 0.000 5.631
Li 6.814 0.000 0.964
Ti 3.417 0.000 0.010
Ti 6.661 0.000 4.704
Co 4.128 1.395 2.634
Co 4.128 -1.395 2.634
Co 8.168 0.000 7.327
Ni 1.635 0.000 2.678
Ni 5.676 1.407 7.350
Ni 5.676 -1.407 7.350
O 2.728 1.302 1.460
O 3.809 1.440 8.435
O 1.285 0.000 8.500
O 5.742 1.385 3.803
O 3.415 0.000 3.629
O 4.885 0.000 1.533
O 2.728 -1.302 1.460
O 5.116 0.000 6.176
O 7.420 1.246 6.151
O 3.809 -1.440 8.435
O 6.522 0.000 8.286
O 5.742 -1.385 3.803
O 8.395 0.000 3.685
O 7.420 -1.246 6.151
O 10.051 0.000 1.796
O 9.878 0.000 6.500
```

---

[5]
This record from Materials Project describes a geometry-optimized Ca2TaNiO6 structure. The functional is PBE+U.

Output
corrected total energy (MP2020 scheme): -7.9064 eV per atom
total magnetic moment: 0.300 μB/atom
energy of formation from the pure elements: -2773 meV per atom
space group: P2_1/m (11)

```
20
Lattice="5.457 0.000 0.000 0.000 7.729 0.000 -0.164 0.000 5.630" Properties=species:S:1:pos:R:3 pbc="T T T"
Ca -0.022 1.932 2.437
Ca 2.443 1.932 5.388
Ca 2.850 5.797 0.242
Ca 5.315 5.797 3.193
Ta 2.647 0.000 2.815
Ta 2.647 3.865 2.815
Ni 0.000 0.000 0.000
Ni 0.000 3.865 0.000
O 0.365 5.797 5.483
O 1.043 0.342 3.932
O 1.043 3.523 3.932
O 1.583 0.364 1.174
O 1.583 3.500 1.174
O 2.159 5.797 2.669
O 3.134 1.932 2.961
O 3.711 4.229 4.457
O 3.711 7.365 4.457
O 4.250 4.206 1.698
O 4.250 7.387 1.698
O 4.928 1.932 0.147
```

---

[6]
This record from Materials Project describes a geometry-optimized LiFeCO4 structure. The functional is PBE+U.

Output
maximum piezoelectric response: 10.080 C/m2
corrected total energy (MP2020 scheme): -7.4762 eV per atom
total magnetic moment: 0.714 μB/atom
energy of formation from the pure elements: -1848 meV per atom
energy relative to the lowest polymorph listed for this composition: 62 meV per atom
space group: Ccc2 (37)

```
28
Lattice="4.091 -7.269 0.000 4.091 7.269 0.000 0.000 0.000 6.083" Properties=species:S:1:pos:R:3 pbc="T T T"
Li 0.969 1.290 0.000
Li 0.969 -1.290 3.041
Li 7.214 1.290 3.041
Li 7.214 -1.290 0.000
Fe 4.011 3.082 4.499
Fe 4.172 3.082 1.457
Fe 4.011 -3.082 1.457
Fe 4.172 -3.082 4.499
C 2.083 1.467 2.911
C 2.083 -1.467 5.953
C 6.100 1.467 5.953
C 6.100 -1.467 2.911
O 1.108 0.685 2.835
O 3.693 4.067 6.040
O 2.498 1.908 4.081
O 1.108 -0.685 5.876
O 2.680 1.864 1.807
O 4.490 4.067 2.999
O 2.498 -1.908 1.039
O 2.680 -1.864 4.848
O 5.502 1.864 4.848
O 5.685 1.908 1.039
O 3.693 -4.067 2.999
O 5.502 -1.864 1.807
O 7.075 0.685 5.876
O 5.685 -1.908 4.081
O 4.490 -4.067 6.040
O 7.075 -0.685 2.835
```

---

Among the records above, which one has the lowest total magnetic moment? Na3V5H26O27

---

energy of formation from the pure elements of number 4 (Li4Ti2Co3Ni3O16)? -1870 meV per atom

---

Which of these has the highest corrected total energy (MP2020 scheme)? Na3V5H26O27